(1)
! CaMg2C3O9 (meta-GGA r2SCAN, relaxed); values from VASP
&SYSTEM
  ibrav = 0, nat = 30, ntyp = 4
/
ATOMIC_SPECIES
O 16.00 O.upf
C 12.01 C.upf
Mg 24.30 Mg.upf
Ca 40.08 Ca.upf
CELL_PARAMETERS angstrom
5.402 -2.373 -0.044
-4.383 -4.728 -3.927
1.019 7.140 -4.041
ATOMIC_POSITIONS crystal
O 0.947 0.171 0.590
C 0.493 0.243 0.985
Mg 0.001 0.500 0.001
O 0.749 0.500 0.774
O 0.308 0.559 0.893
O 0.403 0.153 0.806
C 0.163 0.413 0.327
O 0.025 0.774 0.774
C 0.843 0.593 0.686
O 0.254 0.504 0.508
O 0.387 0.163 0.077
C 0.841 0.091 0.682
O 0.100 0.821 0.430
O 0.233 0.512 0.237
Mg 0.332 0.833 0.666
Mg 0.333 0.332 0.666
O 0.754 0.504 0.508
Ca 0.667 0.667 0.333
O 0.330 0.109 0.430
O 0.003 0.224 0.237
O 0.690 0.414 0.077
C 0.490 0.740 0.981
O 0.585 0.833 0.893
Ca 0.667 0.167 0.333
C 0.170 0.920 0.340
O 0.079 0.829 0.159
O 0.930 0.180 0.861
O 0.643 0.919 0.590
Mg 0.000 0.001 0.001
O 0.579 0.829 0.159
! * DFT total energy: -0.3252 Ha/atom
! * ρ: 2.9 g cm⁻³
! * symmetry: C2/c (15)
! * polymorph energy (0 for the lowest one): 22.4 meV per atom
! * total magnetic moment: 0.000 μB/f.u.

(2)
! Li2AgSn2 (meta-GGA r2SCAN, relaxed); values from VASP
&SYSTEM
  ibrav = 0, nat = 10, ntyp = 3
/
ATOMIC_SPECIES
Sn 118.71 Sn.upf
Li 6.94 Li.upf
Ag 107.87 Ag.upf
CELL_PARAMETERS angstrom
5.932 -6.897 5.336
1.924 -4.062 9.541
-6.126 3.172 -7.978
ATOMIC_POSITIONS crystal
Sn 0.578 0.078 0.500
Li 0.674 0.674 0.000
Li 0.326 0.326 0.000
Li 0.424 0.924 0.500
Sn 0.172 0.172 0.000
Sn 0.828 0.828 0.000
Ag 0.250 0.750 0.500
Ag 0.500 0.500 0.000
Li 0.076 0.576 0.500
Sn 0.922 0.422 0.500
! * DFT total energy: -0.5683 Ha/atom
! * ρ: 5.7 g cm⁻³
! * symmetry: I4_1/amd (141)
! * total magnetic moment: 0.000 μB/f.u.

(3)
! Li3LaBi2 (meta-GGA r2SCAN, relaxed); values from VASP
&SYSTEM
  ibrav = 0, nat = 6, ntyp = 3
/
ATOMIC_SPECIES
La 138.91 La.upf
Li 6.94 Li.upf
Bi 208.98 Bi.upf
CELL_PARAMETERS angstrom
-4.679 -0.709 -0.149
2.497 0.186 -4.020
1.128 -7.510 0.353
ATOMIC_POSITIONS crystal
La 0.000 0.000 0.000
Li 0.667 0.333 0.358
Li 0.333 0.667 0.642
Bi 0.333 0.667 0.256
Bi 0.667 0.333 0.744
Li 0.000 0.000 0.500
! * DFT total energy: -0.9751 Ha/atom
! * ρ: 6.5 g cm⁻³
! * symmetry: P-3m1 (164)
! * total magnetic moment: 0.000 μB/f.u.

(4)
! Nd4MgIr (meta-GGA r2SCAN, relaxed); values from VASP
&SYSTEM
  ibrav = 0, nat = 24, ntyp = 3
/
ATOMIC_SPECIES
Nd 144.24 Nd.upf
Mg 24.30 Mg.upf
Ir 192.22 Ir.upf
CELL_PARAMETERS angstrom
0.000 7.080 7.080
7.080 0.000 7.080
7.080 7.080 0.000
ATOMIC_POSITIONS crystal
Nd 0.439 0.061 0.439
Mg 0.421 0.421 0.421
Nd 0.061 0.061 0.439
Ir 0.859 0.859 0.424
Nd 0.812 0.812 0.188
Nd 0.188 0.188 0.812
Nd 0.061 0.439 0.439
Nd 0.037 0.654 0.654
Ir 0.859 0.424 0.859
Nd 0.439 0.439 0.061
Nd 0.188 0.812 0.812
Ir 0.859 0.859 0.859
Nd 0.439 0.061 0.061
Mg 0.421 0.421 0.736
Nd 0.654 0.037 0.654
Ir 0.424 0.859 0.859
Nd 0.188 0.812 0.188
Mg 0.736 0.421 0.421
Nd 0.812 0.188 0.812
Mg 0.421 0.736 0.421
Nd 0.654 0.654 0.654
Nd 0.061 0.439 0.061
Nd 0.654 0.654 0.037
Nd 0.812 0.188 0.188
! * DFT total energy: -1.0821 Ha/atom
! * ρ: 7.4 g cm⁻³
! * symmetry: F-43m (216)
! * total magnetic moment: 0.000 μB/f.u.

(5)
! LaNdAl4 (meta-GGA r2SCAN, relaxed); values from VASP
&SYSTEM
  ibrav = 0, nat = 6, ntyp = 3
/
ATOMIC_SPECIES
Nd 144.24 Nd.upf
Al 26.98 Al.upf
La 138.91 La.upf
CELL_PARAMETERS angstrom
0.000 4.039 4.039
4.039 0.000 4.039
4.039 4.039 0.000
ATOMIC_POSITIONS crystal
Nd 0.000 0.000 0.000
Al 0.625 0.625 0.625
Al 0.625 0.625 0.125
Al 0.625 0.125 0.625
Al 0.125 0.625 0.625
La 0.250 0.250 0.250
! * DFT total energy: -0.5474 Ha/atom
! * ρ: 4.9 g cm⁻³
! * symmetry: F-43m (216)
! * total magnetic moment: 0.000 μB/f.u.

(6)
! TlPF6 (meta-GGA r2SCAN, relaxed); values from VASP
&SYSTEM
  ibrav = 0, nat = 8, ntyp = 3
/
ATOMIC_SPECIES
Tl 204.38 Tl.upf
P 30.97 P.upf
F 19.00 F.upf
CELL_PARAMETERS angstrom
4.600 0.000 2.656
1.533 4.758 2.656
0.000 0.000 5.312
ATOMIC_POSITIONS crystal
Tl 0.500 0.500 0.500
P 0.000 0.000 0.000
F 0.647 0.196 0.078
F 0.922 0.804 0.353
F 0.353 0.804 0.922
F 0.078 0.196 0.647
F 0.922 0.804 0.922
F 0.078 0.196 0.078
! * DFT total energy: -0.4693 Ha/atom
! * ρ: 5.0 g cm⁻³
! * symmetry: R-3m (166)
! * total magnetic moment: 0.000 μB/f.u.

(7)
! VCrO3 (meta-GGA r2SCAN, relaxed); values from VASP
&SYSTEM
  ibrav = 0, nat = 20, ntyp = 3
/
ATOMIC_SPECIES
V 50.94 V.upf
Cr 52.00 Cr.upf
O 16.00 O.upf
CELL_PARAMETERS angstrom
5.008 -0.016 0.005
-2.504 1.459 4.561
2.532 -7.255 4.563
ATOMIC_POSITIONS crystal
V 0.152 0.882 0.571
V 0.347 0.375 0.675
Cr 0.651 0.631 0.324
O 0.943 0.476 0.278
V 0.851 0.130 0.425
Cr 0.653 0.128 0.827
O 0.750 0.220 0.027
O 0.449 0.373 0.877
O 0.555 0.127 0.628
O 0.740 0.714 0.529
O 0.946 0.970 0.778
O 0.250 0.283 0.468
Cr 0.851 0.624 0.925
Cr 0.348 0.869 0.172
O 0.445 0.877 0.371
O 0.254 0.778 0.972
V 0.148 0.369 0.078
O 0.055 0.021 0.224
O 0.057 0.528 0.725
O 0.555 0.625 0.126
! * DFT total energy: -0.4384 Ha/atom
! * ρ: 5.0 g cm⁻³
! * symmetry: P1 (1)
! * total magnetic moment: 4.001 μB/f.u.

(8)
! YbAlZn2 (meta-GGA r2SCAN, relaxed); values from VASP
&SYSTEM
  ibrav = 0, nat = 4, ntyp = 3
/
ATOMIC_SPECIES
Zn 65.41 Zn.upf
Yb 173.04 Yb.upf
Al 26.98 Al.upf
CELL_PARAMETERS angstrom
0.000 3.261 3.261
3.261 0.000 3.261
3.261 3.261 0.000
ATOMIC_POSITIONS crystal
Zn 0.500 0.500 0.500
Zn 0.000 0.000 0.000
Yb 0.750 0.750 0.750
Al 0.250 0.250 0.250
! * DFT total energy: -0.5729 Ha/atom
! * ρ: 7.9 g cm⁻³
! * symmetry: Fm-3m (225)
! * total magnetic moment: 0.000 μB/f.u.

> What is the formula in the second record?

Li2AgSn2